This record from the Materials Project database describes an optimized crystal structure of Bi2Pb6S9. The functional is PBE.

Computed properties:
Offset from the most stable computed form in meV/atom: 0
Corrected total energy (MP2020 scheme) in eV/atom: -4.702
Magnetization in μB/cell: 0.00
Formation energy from the elements in meV per atom: -743.8
Uncorrected energy in eV per cell: -301.60

CIF file:
```
data_Bi2Pb6S9
_cell_length_a 4.149
_cell_length_b 13.809
_cell_length_c 32.198
_cell_angle_alpha 90.00
_cell_angle_beta 90.00
_cell_angle_gamma 90.00
_space_group_name_H-M_alt 'C m c m'
_space_group_IT_number 63
_space_group_name_Hall '-C 2c 2'
loop_
_atom_site_label
_atom_site_fract_x
_atom_site_fract_y
_atom_site_fract_z
Bi1 0.000 0.043 0.116
Pb1 0.000 0.229 0.557
Pb2 0.000 0.317 0.175
Pb3 0.000 0.426 0.750
Pb4 0.000 0.500 0.000
S1 0.000 0.041 0.691
S2 0.000 0.138 0.029
S3 0.000 0.214 0.250
S4 0.000 0.328 0.638
S5 0.000 0.416 0.085
```